No. 1
Computed, not measured: a relaxed structure of Fe4Si at the PBE level of DFT.

a = 9.6811 Å, b = 9.5879 Å, c = 2.5352 Å
α = 84.53°, β = 80.36°, γ = 15.11°
Last column: nearest neighbours and their distance in Å.
Atoms (fractional coordinates):
Fe 0.0941 0.0941 0.9059  2 Si 2.34, 6 Fe 2.49-2.54
Fe 0.3020 0.3020 0.6980  8 Fe 2.49-2.54
Fe 0.6980 0.6980 0.3020  8 Fe 2.49-2.54
Fe 0.9059 0.9059 0.0941  2 Si 2.34, 6 Fe 2.49-2.54
Si 0.5000 0.5000 0.5000  4 Fe 2.34, 4 Si 2.54

Calculated values
The energy relative to the elements is -0.06 eV per atom. As for the space group: No. 69. The calculation puts the uncorrected energy at -7.94 eV/atom.


No. 2
Computed, not measured: a relaxed structure of Sr2LiTi6N2O11 at the PBE level of DFT.

a = 3.9185 Å, b = 7.9657 Å, c = 9.3294 Å
α = 98.51°, β = 90.02°, γ = 104.18°
Last column: nearest neighbours and their distance in Å.
Atoms (fractional coordinates):
Sr 0.0000 0.0000 0.0000  2 O 2.54, 3 N 2.59-2.77, 1 Li 2.67
Sr 0.1239 0.2474 0.5531  5 O 2.59-2.80
Li 0.1766 0.3501 0.0504  4 O 1.86-1.99
Ti 0.3409 0.6802 0.9765  3 N 1.87-2.00, 1 O 2.08
Ti 0.4253 0.8494 0.3266  2 O 1.76-1.84
Ti 0.4675 0.9338 0.6788  1 N 1.82, 3 O 1.88-2.01
Ti 0.7134 0.4248 0.8481  4 O 1.90-2.02, 1 N 2.03
Ti 0.7641 0.5256 0.1891  4 O 1.92-1.97, 1 N 2.08
Ti 0.8256 0.6493 0.5209  4 O 1.86-2.02
N 0.4232 0.8453 0.8493  2 Ti 1.82-1.87
N 0.8217 0.6418 0.0018  4 Ti 2.00-2.08
O 0.2135 0.4247 0.8654  1 Li 1.90, 3 Ti 1.97-2.08
O 0.2776 0.5527 0.1873  1 Li 1.86, 2 Ti 1.97
O 0.3560 0.7101 0.5140  4 Ti 2.02-2.19
O 0.4502 0.8996 0.1400  1 Ti 1.84
O 0.5276 0.0547 0.4386  1 Ti 1.76
O 0.5895 0.1774 0.7393  2 Ti 1.88-2.02
O 0.6556 0.3078 0.0585  1 Ti 1.92, 2 Li 1.99
O 0.7272 0.4511 0.3802  2 Ti 1.86-1.96
O 0.7570 0.5119 0.6681  2 Ti 1.86-1.90
O 0.8893 0.7771 0.3250  4 Ti 2.04-2.21
O 0.9568 0.9122 0.6326  3 Ti 2.01-2.14

Calculated values
The energy relative to the elements is -3.00 eV per atom. The calculation puts the energy above the most stable polymorph in this dataset at 0.045 eV/atom. As for the space group: No. 1. The calculation puts the uncorrected energy at -8.29 eV/atom.


No. 3
Computed, not measured: a relaxed structure of KCe5S8 at the PBE level of DFT.

a = 7.4708 Å, b = 7.4708 Å, c = 7.4708 Å
α = 109.27°, β = 109.27°, γ = 109.87°
Last column: nearest neighbours and their distance in Å.
Atoms (fractional coordinates):
K 0.0000 0.0000 0.0000  8 S 3.02-3.17
Ce 0.2419 0.1189 0.6194  8 S 2.83-3.14
Ce 0.3775 0.7581 0.8770  8 S 2.83-3.14
Ce 0.4995 0.6225 0.3806  8 S 2.83-3.14
Ce 0.7500 0.2500 0.5000  8 S 2.87-3.03
Ce 0.8811 0.5005 0.1230  8 S 2.83-3.14
S 0.1288 0.3871 0.8929  5 Ce 2.83-3.14
S 0.1297 0.3883 0.4140  5 Ce 2.87-3.07, 1 K 3.02, 1 S 3.13
S 0.2844 0.8703 0.2586  5 Ce 2.87-3.07, 1 K 3.02, 1 S 3.13
S 0.4942 0.2359 0.1071  5 Ce 2.83-3.14
S 0.6117 0.0257 0.7414  5 Ce 2.87-3.07, 1 K 3.02, 1 S 3.13
S 0.6129 0.5058 0.7417  5 Ce 2.83-3.14
S 0.7641 0.8712 0.2583  5 Ce 2.83-3.14
S 0.9743 0.7156 0.5860  5 Ce 2.87-3.07, 1 K 3.02, 1 S 3.13

Calculated values
The energy relative to the elements is -2.21 eV per atom. As for the space group: No. 82. The calculation puts the uncorrected energy at -6.49 eV/atom.